{
  "formula": "CaCu2B2H8Cl2O8",
  "functional": "PBE",
  "state": "optimized geometry",
  "lattice": [[6.144, 0.000, 0.000], [0.001, 6.326, 0.000], [0.003, 0.004, 6.340]],
  "species": ["Ca", "Cu", "Cu", "B", "B", "H", "H", "H", "H", "H", "H", "H", "H", "Cl", "Cl", "O", "O", "O", "O", "O", "O", "O", "O"],
  "fractional_positions": [[0.000, 0.000, 0.000], [0.275, 0.000, 0.500], [0.725, 0.500, 0.999], [0.500, 0.000, 0.999], [0.500, 0.500, 0.499], [0.264, 0.380, 0.305], [0.264, 0.621, 0.694], [0.415, 0.235, 0.797], [0.415, 0.766, 0.202], [0.585, 0.203, 0.234], [0.585, 0.798, 0.765], [0.736, 0.305, 0.620], [0.736, 0.695, 0.379], [0.091, 0.501, 0.999], [0.909, 0.000, 0.499], [0.349, 0.102, 0.848], [0.349, 0.899, 0.151], [0.368, 0.326, 0.410], [0.368, 0.675, 0.589], [0.631, 0.410, 0.674], [0.631, 0.590, 0.325], [0.650, 0.152, 0.101], [0.651, 0.849, 0.898]],
  "magmom_total_mub_per_fu": 0.00,
  "formation_enthalpy_0k_ev_per_fu": -36.480,
  "space_group": "P1, No. 1"
}

=====

{
  "formula": "Nb2TlO7",
  "functional": "PBE",
  "state": "optimized geometry",
  "lattice": [[-3.693, 3.793, 5.439], [3.693, -3.793, 5.439], [3.693, 3.793, -5.439]],
  "species": ["Nb", "Nb", "Nb", "Nb", "Tl", "Tl", "O", "O", "O", "O", "O", "O", "O", "O", "O", "O", "O", "O", "O", "O"],
  "fractional_positions": [[0.000, 0.000, 0.000], [0.500, 0.000, 0.000], [0.500, 0.000, 0.500], [0.500, 0.500, 0.500], [0.000, 0.000, 0.500], [0.000, 0.500, 0.000], [0.088, 0.338, 0.750], [0.188, 0.313, 0.243], [0.188, 0.945, 0.874], [0.190, 0.940, 0.250], [0.430, 0.055, 0.743], [0.430, 0.687, 0.374], [0.438, 0.688, 0.750], [0.562, 0.312, 0.250], [0.570, 0.313, 0.626], [0.570, 0.945, 0.257], [0.810, 0.060, 0.750], [0.812, 0.055, 0.126], [0.812, 0.687, 0.757], [0.912, 0.662, 0.250]],
  "magmom_total_mub_per_fu": 1.00,
  "formation_enthalpy_0k_ev_per_fu": -22.529,
  "space_group": "Imma, No. 74"
}

=====

{
  "formula": "La7Br3O18",
  "functional": "PBE",
  "state": "optimized geometry",
  "lattice": [[15.957, 0.000, 0.000], [-7.979, 13.819, 0.000], [0.000, 0.000, 4.462]],
  "species": ["La", "La", "La", "La", "La", "La", "La", "La", "La", "La", "La", "La", "La", "La", "Br", "Br", "Br", "Br", "Br", "Br", "O", "O", "O", "O", "O", "O", "O", "O", "O", "O", "O", "O", "O", "O", "O", "O", "O", "O", "O", "O", "O", "O", "O", "O", "O", "O", "O", "O", "O", "O", "O", "O", "O", "O", "O", "O"],
  "fractional_positions": [[0.082, 0.847, 0.250], [0.124, 0.659, 0.750], [0.153, 0.235, 0.250], [0.235, 0.082, 0.750], [0.333, 0.667, 0.250], [0.341, 0.465, 0.750], [0.465, 0.124, 0.250], [0.535, 0.876, 0.750], [0.659, 0.535, 0.250], [0.667, 0.333, 0.750], [0.765, 0.918, 0.250], [0.847, 0.765, 0.750], [0.876, 0.341, 0.250], [0.918, 0.153, 0.750], [0.060, 0.439, 0.750], [0.379, 0.940, 0.750], [0.439, 0.379, 0.250], [0.561, 0.621, 0.750], [0.621, 0.060, 0.250], [0.940, 0.561, 0.250], [0.024, 0.879, 0.750], [0.048, 0.758, 0.750], [0.097, 0.272, 0.750], [0.121, 0.144, 0.750], [0.144, 0.024, 0.250], [0.167, 0.641, 0.250], [0.175, 0.903, 0.750], [0.176, 0.739, 0.250], [0.242, 0.290, 0.750], [0.261, 0.438, 0.250], [0.269, 0.573, 0.750], [0.272, 0.175, 0.250], [0.290, 0.048, 0.250], [0.304, 0.731, 0.750], [0.359, 0.526, 0.250], [0.427, 0.696, 0.750], [0.438, 0.176, 0.750], [0.474, 0.833, 0.250], [0.526, 0.167, 0.750], [0.562, 0.824, 0.250], [0.573, 0.304, 0.250], [0.641, 0.474, 0.750], [0.696, 0.269, 0.250], [0.710, 0.952, 0.750], [0.728, 0.825, 0.750], [0.731, 0.427, 0.250], [0.739, 0.562, 0.750], [0.758, 0.710, 0.250], [0.824, 0.261, 0.750], [0.825, 0.097, 0.250], [0.833, 0.359, 0.750], [0.856, 0.976, 0.750], [0.879, 0.856, 0.250], [0.903, 0.728, 0.250], [0.952, 0.242, 0.250], [0.976, 0.121, 0.250]],
  "magmom_total_mub_per_fu": 12.00,
  "formation_enthalpy_0k_ev_per_fu": -52.152,
  "space_group": "P6_3/m, No. 176"
}

=====

{
  "formula": "Ba2UBeO6",
  "functional": "PBE",
  "state": "optimized geometry",
  "lattice": [[0.000, 4.111, 4.111], [4.111, 0.000, 4.111], [4.111, 4.111, 0.000]],
  "species": ["Ba", "Ba", "U", "Be", "O", "O", "O", "O", "O", "O"],
  "fractional_positions": [[0.250, 0.250, 0.250], [0.750, 0.750, 0.750], [0.000, 0.000, 0.000], [0.500, 0.500, 0.500], [0.257, 0.257, 0.743], [0.257, 0.743, 0.257], [0.257, 0.743, 0.743], [0.743, 0.257, 0.257], [0.743, 0.257, 0.743], [0.743, 0.743, 0.257]],
  "magmom_total_mub_per_fu": 0.00,
  "formation_enthalpy_0k_ev_per_fu": -32.305,
  "space_group": "Fm-3m, No. 225"
}

=====

{
  "formula": "Mg149Sb",
  "functional": "PBE",
  "state": "optimized geometry",
  "lattice": [[15.987, 0.000, 0.000], [-7.993, 13.845, 0.000], [0.000, 0.000, 15.624]],
  "species": ["Mg", "Mg", "Mg", "Mg", "Mg", "Mg", "Mg", "Mg", "Mg", "Mg", "Mg", "Mg", "Mg", "Mg", "Mg", "Mg", "Mg", "Mg", "Mg", "Mg", "Mg", "Mg", "Mg", "Mg", "Mg", "Mg", "Mg", "Mg", "Mg", "Mg", "Mg", "Mg", "Mg", "Mg", "Mg", "Mg", "Mg", "Mg", "Mg", "Mg", "Mg", "Mg", "Mg", "Mg", "Mg", "Mg", "Mg", "Mg", "Mg", "Mg", "Mg", "Mg", "Mg", "Mg", "Mg", "Mg", "Mg", "Mg", "Mg", "Mg", "Mg", "Mg", "Mg", "Mg", "Mg", "Mg", "Mg", "Mg", "Mg", "Mg", "Mg", "Mg", "Mg", "Mg", "Mg", "Mg", "Mg", "Mg", "Mg", "Mg", "Mg", "Mg", "Mg", "Mg", "Mg", "Mg", "Mg", "Mg", "Mg", "Mg", "Mg", "Mg", "Mg", "Mg", "Mg", "Mg", "Mg", "Mg", "Mg", "Mg", "Mg", "Mg", "Mg", "Mg", "Mg", "Mg", "Mg", "Mg", "Mg", "Mg", "Mg", "Mg", "Mg", "Mg", "Mg", "Mg", "Mg", "Mg", "Mg", "Mg", "Mg", "Mg", "Mg", "Mg", "Mg", "Mg", "Mg", "Mg", "Mg", "Mg", "Mg", "Mg", "Mg", "Mg", "Mg", "Mg", "Mg", "Mg", "Mg", "Mg", "Mg", "Mg", "Mg", "Mg", "Mg", "Mg", "Mg", "Mg", "Mg", "Sb"],
  "fractional_positions": [[0.000, 0.000, 0.000], [0.000, 0.000, 0.334], [0.000, 0.000, 0.666], [0.000, 0.200, 0.000], [0.000, 0.200, 0.334], [0.000, 0.200, 0.666], [0.000, 0.400, 0.000], [0.000, 0.600, 0.000], [0.000, 0.800, 0.000], [0.000, 0.800, 0.334], [0.000, 0.800, 0.666], [0.001, 0.400, 0.334], [0.001, 0.400, 0.666], [0.001, 0.600, 0.334], [0.001, 0.600, 0.666], [0.132, 0.464, 0.500], [0.132, 0.668, 0.500], [0.133, 0.067, 0.167], [0.133, 0.067, 0.500], [0.133, 0.067, 0.833], [0.133, 0.267, 0.167], [0.133, 0.267, 0.500], [0.133, 0.267, 0.833], [0.133, 0.467, 0.166], [0.133, 0.467, 0.834], [0.133, 0.667, 0.166], [0.133, 0.667, 0.834], [0.133, 0.867, 0.167], [0.133, 0.867, 0.500], [0.133, 0.867, 0.833], [0.200, 0.000, 0.000], [0.200, 0.000, 0.334], [0.200, 0.000, 0.666], [0.200, 0.200, 0.000], [0.200, 0.200, 0.334], [0.200, 0.200, 0.666], [0.200, 0.399, 0.333], [0.200, 0.399, 0.667], [0.200, 0.400, 0.000], [0.200, 0.600, 0.000], [0.200, 0.600, 0.332], [0.200, 0.600, 0.668], [0.200, 0.800, 0.000], [0.200, 0.800, 0.333], [0.200, 0.800, 0.667], [0.332, 0.464, 0.500], [0.332, 0.868, 0.500], [0.333, 0.067, 0.167], [0.333, 0.067, 0.833], [0.333, 0.267, 0.167], [0.333, 0.267, 0.833], [0.333, 0.467, 0.166], [0.333, 0.467, 0.834], [0.333, 0.667, 0.167], [0.333, 0.667, 0.833], [0.333, 0.867, 0.166], [0.333, 0.867, 0.834], [0.334, 0.067, 0.500], [0.334, 0.266, 0.500], [0.400, 0.000, 0.000], [0.400, 0.200, 0.000], [0.400, 0.200, 0.334], [0.400, 0.200, 0.666], [0.400, 0.400, 0.000], [0.400, 0.400, 0.334], [0.400, 0.400, 0.666], [0.400, 0.600, 0.000], [0.400, 0.600, 0.332], [0.400, 0.600, 0.668], [0.400, 0.800, 0.000], [0.400, 0.800, 0.332], [0.400, 0.800, 0.668], [0.400, 0.999, 0.334], [0.400, 0.999, 0.666], [0.533, 0.066, 0.167], [0.533, 0.066, 0.500], [0.533, 0.066, 0.833], [0.533, 0.467, 0.167], [0.533, 0.467, 0.500], [0.533, 0.467, 0.833], [0.533, 0.667, 0.166], [0.533, 0.667, 0.834], [0.533, 0.867, 0.166], [0.533, 0.867, 0.834], [0.534, 0.267, 0.167], [0.534, 0.267, 0.500], [0.534, 0.267, 0.833], [0.536, 0.668, 0.500], [0.536, 0.868, 0.500], [0.600, 0.000, 0.000], [0.600, 0.200, 0.000], [0.600, 0.200, 0.334], [0.600, 0.200, 0.666], [0.600, 0.400, 0.000], [0.600, 0.400, 0.334], [0.600, 0.400, 0.666], [0.600, 0.600, 0.000], [0.600, 0.600, 0.334], [0.600, 0.600, 0.666], [0.600, 0.800, 0.000], [0.600, 0.999, 0.334], [0.600, 0.999, 0.666], [0.601, 0.800, 0.333], [0.601, 0.800, 0.667], [0.733, 0.067, 0.167], [0.733, 0.067, 0.833], [0.733, 0.267, 0.167], [0.733, 0.267, 0.500], [0.733, 0.267, 0.833], [0.733, 0.466, 0.167], [0.733, 0.466, 0.500], [0.733, 0.466, 0.833], [0.733, 0.667, 0.167], [0.733, 0.667, 0.833], [0.733, 0.867, 0.167], [0.733, 0.867, 0.500], [0.733, 0.867, 0.833], [0.734, 0.067, 0.500], [0.734, 0.666, 0.500], [0.800, 0.000, 0.000], [0.800, 0.000, 0.334], [0.800, 0.000, 0.666], [0.800, 0.200, 0.000], [0.800, 0.200, 0.334], [0.800, 0.200, 0.666], [0.800, 0.400, 0.000], [0.800, 0.400, 0.334], [0.800, 0.400, 0.666], [0.800, 0.600, 0.000], [0.800, 0.600, 0.334], [0.800, 0.600, 0.666], [0.800, 0.800, 0.000], [0.800, 0.800, 0.334], [0.800, 0.800, 0.666], [0.933, 0.067, 0.167], [0.933, 0.067, 0.500], [0.933, 0.067, 0.833], [0.933, 0.266, 0.500], [0.933, 0.267, 0.167], [0.933, 0.267, 0.833], [0.933, 0.666, 0.500], [0.933, 0.667, 0.167], [0.933, 0.667, 0.833], [0.933, 0.867, 0.167], [0.933, 0.867, 0.500], [0.933, 0.867, 0.833], [0.934, 0.467, 0.167], [0.934, 0.467, 0.500], [0.934, 0.467, 0.833], [0.333, 0.667, 0.500]],
  "magmom_total_mub_per_fu": 0.12,
  "formation_enthalpy_0k_ev_per_fu": -4.487,
  "space_group": "P-6m2, No. 187"
}

=====

{
  "formula": "Na2TlSb",
  "functional": "PBE",
  "state": "optimized geometry",
  "lattice": [[0.000, 3.810, 3.810], [3.810, 0.000, 3.810], [3.810, 3.810, 0.000]],
  "species": ["Na", "Na", "Tl", "Sb"],
  "fractional_positions": [[0.250, 0.250, 0.250], [0.750, 0.750, 0.750], [0.000, 0.000, 0.000], [0.500, 0.500, 0.500]],
  "formation_enthalpy_0k_ev_per_fu": -1.454,
  "space_group": "Fm-3m, No. 225"
}

=====

| no. | density (g cm⁻³) |
| --- | --- |
| 1 | 2.67 |
| 2 | 5.47 |
| 3 | 5.06 |
| 4 | 7.38 |
| 5 | 1.80 |
| 6 | 5.59 |